The following is a PBE calculation of an optimized crystal structure of SrPHO4, from the Materials Project.

```
SrPHO4
1.0
8.1940 0.0000 0.0000
0.0000 9.4284 0.0000
0.0000 0.0000 18.2758
Sr P H O
16 16 16 64
Cartesian
0.9959 1.6871 2.2870
0.9959 3.0271 11.4249
1.0699 1.7206 16.1296
1.0699 2.9936 6.9917
3.0271 6.4348 16.1296
3.0271 7.7078 6.9917
3.1011 6.4013 2.2870
3.1011 7.7413 11.4249
5.0929 1.6871 6.8509
5.0929 3.0271 15.9888
5.1669 1.7206 11.2841
5.1669 2.9936 2.1462
7.1241 6.4348 11.2841
7.1241 7.7078 2.1462
7.1981 6.4013 6.8509
7.1981 7.7413 15.9888
0.1462 0.2017 5.3768
0.1462 4.5125 14.5147
2.0347 5.4628 9.2139
2.0347 8.6798 0.0760
2.0623 0.7486 9.2139
2.0623 3.9656 0.0760
3.9508 4.9159 5.3768
3.9508 9.2267 14.5147
4.2432 0.2017 3.7610
4.2432 4.5125 12.8989
6.1317 5.4628 18.1998
6.1317 8.6798 9.0619
6.1593 0.7486 18.1998
6.1593 3.9656 9.0619
8.0478 4.9159 3.7610
8.0478 9.2267 12.8989
0.7022 5.7804 0.0653
0.7022 8.3622 9.2032
1.7547 5.4319 5.1390
1.7547 8.7107 14.2769
2.3423 0.7177 5.1390
2.3423 3.9965 14.2769
3.3948 1.0662 0.0653
3.3948 3.6480 9.2032
4.7992 5.7804 9.0726
4.7992 8.3622 18.2104
5.8517 5.4319 3.9989
5.8517 8.7107 13.1368
6.4393 0.7177 3.9989
6.4393 3.9965 13.1368
7.4918 1.0662 9.0726
7.4918 3.6480 18.2104
0.4786 4.7206 5.1787
0.4786 9.4220 14.3166
0.6266 5.8346 15.1234
0.6266 8.3080 5.9855
0.7391 1.5479 9.2016
0.7391 3.1663 0.0637
0.7446 5.7726 2.8690
0.7446 8.3700 12.0069
1.2355 5.7119 7.9244
1.2355 8.4307 17.0623
1.2579 5.6947 10.5166
1.2579 8.4479 1.3787
1.4087 1.1865 5.0977
1.4087 3.5277 14.2356
1.7096 5.5444 0.0468
1.7096 8.5982 9.1847
2.3874 0.8302 0.0468
2.3874 3.8840 9.1847
2.6883 5.9007 5.0977
2.6883 8.2419 14.2356
2.8391 0.9805 10.5166
2.8391 3.7337 1.3787
2.8615 0.9977 7.9244
2.8615 3.7165 17.0623
3.3524 1.0584 2.8690
3.3524 3.6558 12.0069
3.3579 6.2621 9.2016
3.3579 7.8805 0.0637
3.4704 1.1204 15.1234
3.4704 3.5938 5.9855
3.6184 0.0064 5.1787
3.6184 4.7078 14.3166
4.5756 4.7206 3.9592
4.5756 9.4220 13.0970
4.7236 5.8346 12.2903
4.7236 8.3080 3.1524
4.8361 1.5479 18.2120
4.8361 3.1663 9.0741
4.8416 5.7726 6.2688
4.8416 8.3700 15.4067
5.3325 5.7119 1.2135
5.3325 8.4307 10.3514
5.3549 5.6947 16.8971
5.3549 8.4479 7.7592
5.5057 1.1865 4.0402
5.5057 3.5277 13.1781
5.8067 5.5444 9.0911
5.8067 8.5982 18.2290
6.4844 0.8302 9.0911
6.4844 3.8840 18.2290
6.7853 5.9007 4.0402
6.7853 8.2419 13.1781
6.9361 0.9805 16.8971
6.9361 3.7337 7.7592
6.9585 0.9977 1.2135
6.9585 3.7165 10.3514
7.4494 1.0584 6.2688
7.4494 3.6558 15.4067
7.4549 6.2621 18.2120
7.4549 7.8805 9.0741
7.5674 1.1204 12.2903
7.5674 3.5938 3.1524
7.7154 0.0064 3.9592
7.7154 4.7078 13.0970
```

Calculated density in g/cm³: 3.5
Energy relative to the elements in kJ/mol of formula units: -1902.9
E_tot in eV per atom: -6.752

=====

The following is a PBE calculation of an optimized crystal structure of SrPH3O4, from the Materials Project.

```
SrPH3O4
1.0
7.6884 0.0000 0.0000
0.0000 7.1579 0.0000
-2.6113 0.0000 7.8157
Sr P H O
4 4 12 16
Cartesian
0.0689 1.0044 2.7040
-1.2367 2.5746 6.6119
6.3139 4.5833 1.2038
5.0083 6.1535 5.1117
0.4331 4.6611 3.9470
1.7388 6.0758 0.0392
3.3384 1.0821 7.7765
4.6440 2.4968 3.8687
0.4687 0.3364 5.6872
1.7743 3.2425 1.7794
1.6948 5.2901 3.8742
0.3892 5.4468 7.7820
1.9803 0.7587 5.4831
3.2859 2.8202 1.5753
1.7913 4.3377 6.2404
3.0969 6.3992 2.3325
4.6880 1.7111 0.0337
3.3824 1.8678 3.9415
3.3028 3.9154 6.0363
4.6084 6.8215 2.1285
-1.9428 5.0133 7.4848
-0.6372 5.7235 3.5770
-0.8824 0.0242 6.7699
0.4232 3.5548 2.8621
0.2960 4.1360 5.3792
1.6016 6.6008 1.4714
1.0728 0.8322 5.0731
2.3784 2.7467 1.1652
2.6987 4.4112 6.6504
4.0044 6.3257 2.7426
3.4756 0.5571 6.3443
4.7812 3.0219 2.4364
4.6540 3.6031 4.9536
5.9596 7.1337 1.0458
5.7144 1.4344 4.2387
7.0200 2.1446 0.3309
```

Calculated density in g/cm³: 2.9
Energy relative to the elements in kJ/mol of formula units: -1892.5
E_tot in eV per atom: -5.993

=====

The following is a PBE calculation of an optimized crystal structure of SrUP2H2O10, from the Materials Project.

```
SrUP2H2O10
1.0
7.6976 0.0000 0.0000
-2.4699 8.0012 0.0000
-2.8564 -2.8866 8.0829
Sr U P H O
2 2 4 4 20
Cartesian
0.5033 1.8683 0.7747
1.8680 3.2462 7.3082
-1.1065 3.9226 4.2682
3.4778 1.1919 3.8147
0.5795 -0.9021 2.7447
-1.2248 1.3006 6.1042
3.5961 3.8139 1.9787
1.7918 6.0166 5.3382
-0.5054 -0.8954 3.6467
-0.4878 0.1621 5.7043
2.8591 4.9524 2.3786
2.8767 6.0099 4.4362
-2.4308 7.3734 1.3403
-2.1727 1.6754 4.9152
-0.2795 5.7912 0.0882
-1.9327 0.9353 7.3930
-1.2205 5.7178 2.8972
-0.2680 2.9679 2.9450
-2.0294 4.8423 5.5364
1.5023 0.2626 3.1720
-0.2590 2.5091 6.1401
0.4164 -2.1136 7.9008
1.9549 7.2281 0.1821
2.6303 2.6054 1.9428
0.8690 4.8519 4.9109
4.4007 0.2722 2.5465
2.6393 2.1466 5.1379
3.5918 -0.6033 5.1857
4.3040 4.1793 0.6899
2.6508 -0.6767 7.9947
4.5440 3.4392 3.1677
4.8021 -2.2589 6.7426
```

Calculated density in g/cm³: 3.7
Energy relative to the elements in kJ/mol of formula units: -3308.9
E_tot in eV per atom: -6.719

=====

The following is a PBE calculation of an optimized crystal structure of TbP4HO12, from the Materials Project.

```
TbP4HO12
1.0
13.8378 0.0000 0.0000
0.0000 7.2147 0.0000
-1.8911 0.0000 9.6214
Tb P H O
4 16 4 48
Cartesian
3.0599 0.4180 0.5693
2.1144 3.1894 5.3800
9.8323 4.0253 4.2415
8.8868 6.7967 9.0522
-0.0430 0.7256 6.8467
0.9025 2.8817 2.0360
0.0645 5.1324 7.6475
1.0101 5.6896 2.8368
3.9737 1.0930 7.8032
4.9192 2.5143 2.9925
5.3131 4.8943 1.2241
4.3675 5.9276 6.0348
7.5792 1.2870 3.5866
6.6336 2.3203 8.3973
7.0275 4.7004 6.6290
7.9730 6.1216 1.8183
10.9366 1.5251 6.7846
11.8822 2.0823 1.9739
11.0442 4.3329 7.5854
11.9897 6.4891 2.7747
2.2828 4.6203 9.0669
3.2284 6.2017 4.2561
8.7183 1.0130 5.3653
9.6639 2.5943 0.5546
-1.4042 4.8463 8.2319
-0.4587 5.9756 3.4211
0.7757 4.4787 1.8075
-0.1699 6.3433 6.6182
-0.0081 1.0124 8.3188
0.9375 2.5949 3.5080
0.5500 3.9671 6.8383
1.4955 6.8548 2.0276
1.0544 1.2192 5.9627
2.0000 2.3881 1.1520
1.8607 5.2567 4.0079
0.9152 5.5653 8.8186
3.3455 4.9459 6.4931
4.2911 5.8760 1.6824
2.9705 0.5719 8.7735
3.9160 3.0355 3.9628
4.5316 1.5242 1.9518
3.5860 2.0832 6.7625
3.0701 4.1635 9.5187
4.0157 6.6585 4.7079
5.6781 3.7793 2.2903
4.7325 7.0427 7.1010
5.2040 1.6728 8.6820
6.1496 1.9345 3.8713
5.7971 5.2802 5.7501
6.7426 5.5418 0.9394
7.2142 0.1720 2.5204
6.2686 3.4354 7.3312
7.9310 0.5562 4.9135
8.8766 3.0511 0.1028
8.3607 5.1315 2.8589
7.4151 5.6905 7.6696
8.0307 4.1792 5.6586
8.9762 6.6428 0.8479
7.6556 1.3386 7.9391
8.6012 2.2687 3.1284
11.0315 1.6494 0.8028
10.0860 1.9580 5.6135
9.9467 4.8266 8.4695
10.8923 5.9954 3.6587
10.4512 0.3598 7.5938
11.3967 3.2475 2.7831
11.0092 4.6197 6.1134
11.9548 6.2023 1.3027
12.1166 0.8714 3.0032
11.1710 2.7359 7.8139
12.4054 1.2390 6.2003
13.3509 2.3683 1.3896
```

Calculated density in g/cm³: 3.3
Energy relative to the elements in kJ/mol of formula units: -4838.9
E_tot in eV per atom: -7.276

=====

The following is a PBE calculation of an optimized crystal structure of TiPHO5, from the Materials Project.

```
TiPHO5
1.0
7.4850 0.0000 0.0000
0.0000 7.1638 0.0000
-3.3804 0.0000 6.6792
Ti P H O
4 4 4 20
Cartesian
0.0351 0.0000 3.1575
-1.6384 3.5684 6.4808
5.7430 7.1502 0.1985
4.0695 3.5819 3.5218
-2.5327 6.3439 5.0152
2.8867 0.9768 1.6710
1.2179 4.5587 5.0082
6.6373 2.7621 1.6641
2.1007 5.0098 2.1578
0.7209 1.7644 5.3097
3.3837 5.3463 1.3695
2.0040 1.4279 4.5215
-2.5237 3.0376 4.9998
0.2197 3.6578 1.0047
-1.4668 0.0842 4.3644
-0.1798 1.8780 2.7485
-1.8529 5.4482 6.0838
2.2609 1.8706 0.5765
0.5772 5.4440 3.9105
1.8283 0.0684 2.3327
0.1810 3.6093 5.6601
2.8535 4.5707 1.6956
1.2511 0.9888 4.9837
3.9236 0.0275 1.0191
2.2763 3.6503 4.3465
3.5274 1.8622 2.7687
1.8438 5.4525 6.1027
5.9575 1.8663 0.5954
4.2844 5.4598 3.9308
5.5714 3.6661 2.3148
3.8849 0.0759 5.6745
6.6283 6.6195 1.6794
```

Calculated density in g/cm³: 3.0
Energy relative to the lowest polymorph listed for this composition in meV per atom: 0.0
Energy relative to the elements in kJ/mol of formula units: -2132.7
E_tot in eV per atom: -7.514

=====

The following is a PBE calculation of an optimized crystal structure of TiP2H2O9, from the Materials Project.

```
TiP2H2O9
1.0
5.2403 0.0000 0.0000
0.0000 6.3944 0.0000
-1.3831 0.0000 23.4861
Ti P H O
4 8 8 36
Cartesian
0.5952 0.0000 10.1574
1.2592 3.1639 1.5763
2.5980 6.3612 21.9098
3.2620 3.1972 13.3286
-0.0500 0.6666 19.8715
0.6576 3.2066 11.0820
1.3666 6.3731 0.6636
0.6412 3.8565 15.4116
3.2160 0.6592 8.0744
2.4907 3.1759 22.8225
3.1996 0.0094 12.4041
3.9072 3.8638 3.6146
-0.1856 3.5064 6.9230
0.6255 0.0918 4.7523
1.3804 3.4955 6.9857
2.1361 0.3225 4.4162
1.7211 3.5197 19.0699
2.4768 0.2982 16.5004
3.2317 3.2891 18.7337
4.0429 0.3092 16.5631
-0.0305 3.2763 3.0532
-0.5394 3.2097 12.0531
-1.1914 6.3798 23.1531
-0.6297 3.2855 14.7720
0.6047 4.0835 6.8585
-0.0127 2.2061 19.8379
0.0902 0.4002 18.3447
0.5998 4.4530 10.1788
0.6059 1.9680 10.1887
1.2913 1.2261 1.5677
1.2964 5.1289 1.5563
0.6699 5.3915 15.5377
1.3324 0.7753 4.7614
0.6151 3.5099 16.9332
1.1233 0.0086 20.6116
2.0041 0.0621 8.7938
2.5549 3.1791 0.1369
1.9047 0.0175 11.5729
1.9525 3.2147 11.9132
1.3023 6.3763 23.3492
1.8531 3.2593 14.6922
2.7340 3.2058 2.8745
3.2421 0.3127 6.5529
2.5248 3.9725 18.7246
3.1873 2.1942 7.9484
2.5608 1.9317 21.9298
2.5660 4.4234 21.9184
3.2513 5.1652 13.2974
3.2574 1.2558 13.3073
3.7670 3.5974 5.1414
3.8699 5.4033 3.6482
3.2525 0.8863 16.6276
4.4869 0.0883 8.7140
4.3966 0.0125 11.4330
5.0486 3.1826 0.3330
3.8877 0.0791 20.4329
```

Calculated density in g/cm³: 2.2
Energy relative to the elements in kJ/mol of formula units: -3036.8
E_tot in eV per atom: -6.809

=====

The following is a PBE calculation of an optimized crystal structure of Ti2P2H4O11, from the Materials Project.

```
Ti2P2H4O11
1.0
5.1779 0.0000 0.0000
0.6630 8.9014 0.0000
0.7241 2.7235 9.3878
Ti P H O
4 4 8 22
Cartesian
0.7041 4.2110 2.7782
1.9817 7.3085 1.5409
4.5833 4.3165 7.8470
5.8609 7.4140 6.6097
1.2988 1.6975 0.6451
1.9846 4.5251 5.7947
4.5804 7.0999 3.5931
5.2661 9.9275 8.7427
1.8077 8.6348 4.4615
2.3100 8.2291 8.6873
2.9791 8.6330 5.4540
3.0141 6.9042 8.0414
3.5509 4.7208 1.3464
3.5859 2.9920 3.9338
4.2550 3.3959 0.7005
4.7573 2.9902 4.9264
0.8941 3.8771 6.6766
1.5057 9.8224 9.3513
1.8234 6.0626 5.7969
2.0139 8.8083 5.4024
1.3638 2.6463 1.8711
1.6968 5.4225 1.9337
2.2361 7.5081 8.0206
1.8488 3.9723 4.3480
2.2526 9.1690 1.1130
3.0852 4.8773 9.0065
3.1832 7.4799 3.0823
3.3818 4.1451 6.3055
3.4798 6.7477 0.3813
4.3124 2.4560 8.2748
4.7162 7.6527 5.0398
4.3289 4.1169 1.3672
4.8682 6.2025 7.4541
5.2012 8.9787 7.5167
4.5511 2.8167 3.9854
4.7416 5.5624 3.5909
5.0593 1.8026 0.0366
5.6709 7.7479 2.7112
```

Calculated density in g/cm³: 2.6
Energy relative to the elements in kJ/mol of formula units: -4626.5
E_tot in eV per atom: -7.106